Record 1
{
  "formula": "Y4Mo4O11",
  "functional": "GGA+U",
  "state": "optimized geometry",
  "lattice": [[10.8943, 0.0000, 0.0000], [0.0000, 16.1760, 0.0000], [0.0000, 0.0000, 5.7524]],
  "species": ["Y", "Y", "Y", "Y", "Y", "Y", "Y", "Y", "Y", "Y", "Y", "Y", "Y", "Y", "Y", "Y", "Mo", "Mo", "Mo", "Mo", "Mo", "Mo", "Mo", "Mo", "Mo", "Mo", "Mo", "Mo", "Mo", "Mo", "Mo", "Mo", "O", "O", "O", "O", "O", "O", "O", "O", "O", "O", "O", "O", "O", "O", "O", "O", "O", "O", "O", "O", "O", "O", "O", "O", "O", "O", "O", "O", "O", "O", "O", "O", "O", "O", "O", "O", "O", "O", "O", "O", "O", "O", "O", "O"],
  "frac_coords": [[0.0767, 0.0986, 0.0000], [0.0949, 0.2365, 0.5000], [0.1155, 0.9237, 0.5000], [0.1838, 0.7769, 0.0000], [0.3162, 0.2769, 0.0000], [0.3845, 0.4237, 0.5000], [0.4051, 0.7365, 0.5000], [0.4233, 0.5986, 0.0000], [0.5767, 0.4014, 0.0000], [0.5949, 0.2635, 0.5000], [0.6155, 0.5763, 0.5000], [0.6838, 0.7231, 0.0000], [0.8162, 0.2231, 0.0000], [0.8845, 0.0763, 0.5000], [0.9051, 0.7635, 0.5000], [0.9233, 0.9014, 0.0000], [0.0889, 0.4358, 0.5000], [0.0975, 0.4283, 0.0000], [0.1391, 0.5877, 0.2269], [0.1391, 0.5877, 0.7731], [0.3609, 0.0877, 0.2269], [0.3609, 0.0877, 0.7731], [0.4025, 0.9283, 0.0000], [0.4111, 0.9358, 0.5000], [0.5889, 0.0642, 0.5000], [0.5975, 0.0717, 0.0000], [0.6391, 0.9123, 0.2269], [0.6391, 0.9123, 0.7731], [0.8609, 0.4123, 0.2269], [0.8609, 0.4123, 0.7731], [0.9025, 0.5717, 0.0000], [0.9111, 0.5642, 0.5000], [0.0000, 0.0000, 0.2536], [0.0000, 0.0000, 0.7464], [0.0388, 0.6649, 0.0000], [0.0400, 0.8281, 0.2521], [0.0400, 0.8281, 0.7479], [0.0497, 0.6550, 0.5000], [0.1909, 0.3597, 0.2592], [0.1909, 0.3597, 0.7408], [0.2228, 0.1754, 0.2364], [0.2228, 0.1754, 0.7636], [0.2334, 0.5242, 0.5000], [0.2453, 0.5125, 0.0000], [0.2547, 0.0125, 0.0000], [0.2666, 0.0242, 0.5000], [0.2772, 0.6754, 0.2364], [0.2772, 0.6754, 0.7636], [0.3091, 0.8597, 0.2592], [0.3091, 0.8597, 0.7408], [0.4503, 0.1550, 0.5000], [0.4600, 0.3281, 0.2521], [0.4600, 0.3281, 0.7479], [0.4612, 0.1649, 0.0000], [0.5000, 0.5000, 0.2536], [0.5000, 0.5000, 0.7464], [0.5388, 0.8351, 0.0000], [0.5400, 0.6719, 0.2521], [0.5400, 0.6719, 0.7479], [0.5497, 0.8450, 0.5000], [0.6909, 0.1403, 0.2592], [0.6909, 0.1403, 0.7408], [0.7228, 0.3246, 0.2364], [0.7228, 0.3246, 0.7636], [0.7334, 0.9758, 0.5000], [0.7453, 0.9875, 0.0000], [0.7547, 0.4875, 0.0000], [0.7666, 0.4758, 0.5000], [0.7772, 0.8246, 0.2364], [0.7772, 0.8246, 0.7636], [0.8091, 0.6403, 0.2592], [0.8091, 0.6403, 0.7408], [0.9503, 0.3450, 0.5000], [0.9600, 0.1719, 0.2521], [0.9600, 0.1719, 0.7479], [0.9612, 0.3351, 0.0000]],
  "formation_enthalpy_0k_mev_per_atom": -2667,
  "sg": "Pbam",
  "final_energy_ev_per_fu": -154.0
}

=====

Record 2
{
  "formula": "YMoO3",
  "functional": "GGA+U",
  "state": "optimized geometry",
  "lattice": [[5.8630, 0.0000, 0.0000], [0.0000, 8.0510, 0.0000], [0.0000, 0.0000, 5.5194]],
  "species": ["Y", "Y", "Y", "Y", "Mo", "Mo", "Mo", "Mo", "O", "O", "O", "O", "O", "O", "O", "O", "O", "O", "O", "O"],
  "frac_coords": [[0.0674, 0.2500, 0.0211], [0.4326, 0.7500, 0.5211], [0.5674, 0.2500, 0.4789], [0.9326, 0.7500, 0.9789], [0.0000, 0.0000, 0.5000], [0.0000, 0.5000, 0.5000], [0.5000, 0.0000, 0.0000], [0.5000, 0.5000, 0.0000], [0.0640, 0.7500, 0.3618], [0.1883, 0.5707, 0.8180], [0.1883, 0.9293, 0.8180], [0.3117, 0.0707, 0.3180], [0.3117, 0.4293, 0.3180], [0.4360, 0.2500, 0.8618], [0.5640, 0.7500, 0.1382], [0.6883, 0.5707, 0.6820], [0.6883, 0.9293, 0.6820], [0.8117, 0.0707, 0.1820], [0.8117, 0.4293, 0.1820], [0.9360, 0.2500, 0.6382]],
  "formation_enthalpy_0k_mev_per_atom": -2897,
  "sg": "Pnma",
  "final_energy_ev_per_fu": -41.4
}